Entry from the Materials Project database: a relaxed SiC crystal (GGA-PBE).

a b c (Å): 3.0947 3.0947 25.3091
angles (deg): 90.00 90.00 120.00
Positions (direct):
1 C 0.6667 0.3333 0.1750
2 C 0.0000 0.0000 0.2749
3 C 0.3333 0.6667 0.3752
4 C 0.0000 0.0000 0.6749
5 C 0.0000 0.0000 0.8750
6 C 0.6667 0.3333 0.9749
7 C 0.3333 0.6667 0.0752
8 C 0.6667 0.3333 0.5752
9 C 0.3333 0.6667 0.7752
10 C 0.0000 0.0000 0.4749
11 Si 0.0000 0.0000 0.1999
12 Si 0.3333 0.6667 0.0000
13 Si 0.6667 0.3333 0.5000
14 Si 0.3333 0.6667 0.7000
15 Si 0.0000 0.0000 0.4000
16 Si 0.6667 0.3333 0.8999
17 Si 0.0000 0.0000 0.8000
18 Si 0.0000 0.0000 0.6000
19 Si 0.3333 0.6667 0.3000
20 Si 0.6667 0.3333 0.1000

Output
volume = 210 Å³/cell
piezoelectric modulus e_max = 0.1 C/m2
VASP energy = -150.615 eV for the cell shown
SG = P3m1